Record 1
Material: In3Pt5
Method: DFT, GGA-PBE
State: relaxed

a = 4.1163 Å, b = 4.1163 Å, c = 11.0957 Å
α = 90.00°, β = 90.00°, γ = 120.00°
Sites, in units of the cell vectors:
In: 0.0000 0.0000 0.0000
In: 0.6667 0.3333 0.2652
In: 0.6667 0.3333 0.7348
Pt: 0.0000 0.0000 0.5000
Pt: 0.3333 0.6667 0.1268
Pt: 0.3333 0.6667 0.3792
Pt: 0.3333 0.6667 0.6208
Pt: 0.3333 0.6667 0.8732

Output
Raw total energy in eV for the cell shown: -40.87

---

Record 2
Material: MnGaPt
Method: DFT, GGA-PBE
State: relaxed

a = 5.8473 Å, b = 5.8473 Å, c = 5.8473 Å
α = 90.00°, β = 90.00°, γ = 90.00°
Sites, in units of the cell vectors:
Mn: 0.0000 0.0000 0.0000
Mn: 0.0000 0.5000 0.5000
Mn: 0.5000 0.0000 0.5000
Mn: 0.5000 0.5000 0.0000
Ga: 0.2500 0.2500 0.2500
Ga: 0.2500 0.7500 0.7500
Ga: 0.7500 0.2500 0.7500
Ga: 0.7500 0.7500 0.2500
Pt: 0.0000 0.0000 0.5000
Pt: 0.0000 0.5000 0.0000
Pt: 0.5000 0.0000 0.0000
Pt: 0.5000 0.5000 0.5000

Output
Raw total energy in eV for the cell shown: -75.22

---

Record 3
Material: YThRe4
Method: DFT, GGA-PBE
State: relaxed

a = 5.4110 Å, b = 5.4110 Å, c = 9.1851 Å
α = 90.00°, β = 90.00°, γ = 120.00°
Sites, in units of the cell vectors:
Y: 0.3333 0.6667 0.0628
Y: 0.6667 0.3333 0.9372
Th: 0.3333 0.6667 0.4398
Th: 0.6667 0.3333 0.5602
Re: 0.0000 0.0000 0.0000
Re: 0.0000 0.0000 0.5000
Re: 0.1700 0.3399 0.7577
Re: 0.1700 0.8300 0.7577
Re: 0.3399 0.1700 0.2423
Re: 0.6601 0.8300 0.7577
Re: 0.8300 0.1700 0.2423
Re: 0.8300 0.6601 0.2423

Output
Raw total energy in eV for the cell shown: -129.09

---

Record 4
Material: Pu4Ir
Method: DFT, GGA-PBE
State: relaxed

a = 7.4312 Å, b = 7.4312 Å, c = 7.4312 Å
α = 60.00°, β = 60.00°, γ = 60.00°
Sites, in units of the cell vectors:
Pu: 0.1965 0.7678 0.7678
Pu: 0.2322 0.2322 0.2322
Pu: 0.2322 0.2322 0.8035
Pu: 0.2322 0.8035 0.2322
Pu: 0.7678 0.1965 0.7678
Pu: 0.7678 0.7678 0.1965
Pu: 0.7678 0.7678 0.7678
Pu: 0.8035 0.2322 0.2322
Ir: 0.3750 0.3750 0.3750
Ir: 0.6250 0.6250 0.6250

Output
Raw total energy in eV for the cell shown: -128.79

---

Record 5
Material: NaLaGaPS2O12
Method: DFT, GGA-PBE
State: relaxed

a = 8.8991 Å, b = 8.9443 Å, c = 23.7314 Å
α = 89.53°, β = 89.75°, γ = 60.21°
Sites, in units of the cell vectors:
Na: 0.0000 0.0000 0.0000
Na: 0.0020 0.0265 0.4946
Na: 0.3589 0.3363 0.1782
Na: 0.3660 0.3367 0.6632
Na: 0.6786 0.6744 0.3370
Na: 0.6877 0.6891 0.8371
La: 0.3420 0.3456 0.0236
La: 0.3430 0.3472 0.8184
La: 0.6712 0.6798 0.6859
La: 0.6807 0.6899 0.9857
La: 0.9904 0.0186 0.1653
La: 0.9919 0.0245 0.6412
Ga: 0.3387 0.3574 0.3280
Ga: 0.3440 0.3451 0.5121
Ga: 0.6755 0.6785 0.1938
Ga: 0.6910 0.6568 0.4809
Ga: 0.9922 0.0705 0.3538
Ga: 0.9970 0.0041 0.8529
P: 0.0368 0.6716 0.9168
P: 0.0572 0.3508 0.4202
P: 0.6472 0.3976 0.5744
P: 0.6635 0.9732 0.0986
P: 0.6855 0.3355 0.2608
P: 0.7216 0.0044 0.7568
S: 0.0096 0.7021 0.2624
S: 0.2929 0.7394 0.7573
S: 0.3116 0.0214 0.2623
S: 0.3161 0.0394 0.9167
S: 0.3395 0.6432 0.4206
S: 0.3858 0.6783 0.0965
S: 0.3918 0.9840 0.5734
S: 0.6350 0.0570 0.4192
S: 0.6707 0.3296 0.9173
S: 0.9658 0.3931 0.0967
S: 0.9801 0.6594 0.5741
S: 0.9965 0.3010 0.7589
O: 0.0025 0.8131 0.5746
O: 0.0039 0.2001 0.8096
O: 0.0282 0.8483 0.9134
O: 0.0342 0.1863 0.4127
O: 0.0500 0.7576 0.2082
O: 0.1285 0.5633 0.8653
O: 0.1342 0.5828 0.9722
O: 0.1353 0.3872 0.0981
O: 0.1417 0.3775 0.3674
O: 0.1491 0.3257 0.7561
O: 0.1497 0.5011 0.5678
O: 0.1517 0.0401 0.9106
O: 0.1614 0.5269 0.2728
O: 0.1713 0.3156 0.4729
O: 0.1841 0.8158 0.4137
O: 0.1980 0.8326 0.8085
O: 0.2094 0.8287 0.7045
O: 0.2144 0.0558 0.2091
O: 0.2135 0.8353 0.0977
O: 0.2146 0.9911 0.3100
O: 0.2169 0.0011 0.5746
O: 0.3051 0.1342 0.9693
O: 0.3095 0.5663 0.7544
O: 0.3120 0.5596 0.4713
O: 0.3340 0.1724 0.2730
O: 0.3484 0.1212 0.8676
O: 0.3681 0.5211 0.0981
O: 0.3718 0.5327 0.3702
O: 0.3731 0.1587 0.5681
O: 0.4614 0.8602 0.9191
O: 0.4668 0.6801 0.0422
O: 0.4686 0.7192 0.7612
O: 0.4758 0.9192 0.6295
O: 0.4829 0.3808 0.5668
O: 0.4832 0.8615 0.2572
O: 0.4904 0.6713 0.1462
O: 0.4934 0.8683 0.5272
O: 0.4987 0.1527 0.0998
O: 0.4996 0.6605 0.4265
O: 0.5078 0.3545 0.2763
O: 0.5225 0.1392 0.3692
O: 0.5406 0.1668 0.7533
O: 0.5584 0.1643 0.4706
O: 0.5634 0.3520 0.8676
O: 0.5879 0.3119 0.9697
O: 0.6267 0.4866 0.6319
O: 0.6556 0.8814 0.4265
O: 0.6650 0.8635 0.1504
O: 0.6675 0.8904 0.0417
O: 0.6714 0.4991 0.5260
O: 0.6727 0.5152 0.2506
O: 0.6952 0.4803 0.9197
O: 0.7065 0.8397 0.7589
O: 0.7459 0.2275 0.2072
O: 0.8101 0.2161 0.5742
O: 0.8112 0.0417 0.4110
O: 0.8138 0.0050 0.7018
O: 0.8187 0.0085 0.8102
O: 0.8212 0.2447 0.3097
O: 0.8278 0.9905 0.0977
O: 0.8368 0.4720 0.7618
O: 0.8400 0.1708 0.9126
O: 0.8495 0.6863 0.2549
O: 0.8502 0.7031 0.9160
O: 0.8590 0.6858 0.5275
O: 0.8630 0.4924 0.1462
O: 0.8706 0.5118 0.4269
O: 0.8801 0.4687 0.0425
O: 0.9106 0.6426 0.6294
O: 0.9795 0.8250 0.3083
O: 0.9925 0.2165 0.0976
O: 0.9983 0.2170 0.7055

Output
Raw total energy in eV for the cell shown: -710.95

---

Record 6
Material: Rb2VAgSe4
Method: DFT, GGA-PBE
State: relaxed

a = 14.1630 Å, b = 12.6364 Å, c = 7.6956 Å
α = 84.60°, β = 62.65°, γ = 32.75°
Sites, in units of the cell vectors:
Rb: 0.0559 0.0559 0.6941
Rb: 0.3059 0.3059 0.9441
Rb: 0.6941 0.6941 0.0559
Rb: 0.9441 0.9441 0.3059
V: 0.1250 0.1250 0.1250
V: 0.8750 0.8750 0.8750
Ag: 0.3750 0.3750 0.3750
Ag: 0.6250 0.6250 0.6250
Se: 0.0716 0.2906 0.3746
Se: 0.2369 0.6254 0.7094
Se: 0.2906 0.0716 0.7631
Se: 0.3746 0.7631 0.0716
Se: 0.6254 0.2369 0.9284
Se: 0.7094 0.9284 0.2369
Se: 0.7631 0.3746 0.2906
Se: 0.9284 0.7094 0.6254

Output
Polymorph energy (0 for the lowest one) in meV per atom: 0
Raw total energy in eV for the cell shown: -69.62

---

Record 7
Material: GdCu2
Method: DFT, GGA-PBE
State: relaxed

a = 4.3502 Å, b = 7.0112 Å, c = 7.4170 Å
α = 90.00°, β = 90.00°, γ = 90.00°
Sites, in units of the cell vectors:
Gd: 0.0000 0.2500 0.0378
Gd: 0.0000 0.7500 0.9622
Gd: 0.5000 0.2500 0.4622
Gd: 0.5000 0.7500 0.5378
Cu: 0.0000 0.0508 0.6650
Cu: 0.0000 0.4492 0.6650
Cu: 0.0000 0.5508 0.3350
Cu: 0.0000 0.9492 0.3350
Cu: 0.5000 0.0508 0.8350
Cu: 0.5000 0.4492 0.8350
Cu: 0.5000 0.5508 0.1650
Cu: 0.5000 0.9492 0.1650

Output
Raw total energy in eV for the cell shown: -92.07

---

Record 8
Material: CrRh
Method: DFT, GGA-PBE
State: relaxed

a = 2.6730 Å, b = 2.6730 Å, c = 4.2194 Å
α = 90.00°, β = 90.00°, γ = 120.00°
Sites, in units of the cell vectors:
Cr: 0.0000 0.0000 0.0000
Rh: 0.6667 0.3333 0.5000

Output
Raw total energy in eV for the cell shown: -17.01

---

Record 9
Material: KMg6Nb
Method: DFT, GGA-PBE
State: relaxed

a = 6.5090 Å, b = 6.5090 Å, c = 5.1242 Å
α = 90.00°, β = 90.00°, γ = 120.00°
Sites, in units of the cell vectors:
K: 0.0000 0.0000 0.0000
Mg: 0.0321 0.5161 0.0000
Mg: 0.3467 0.1734 0.5000
Mg: 0.4839 0.5161 0.0000
Mg: 0.4839 0.9679 0.0000
Mg: 0.8266 0.1734 0.5000
Mg: 0.8266 0.6533 0.5000
Nb: 0.3333 0.6667 0.5000

Output
Polymorph energy (0 for the lowest one) in meV per atom: 10
Raw total energy in eV for the cell shown: -18.40

---

Record 10
Material: Pu2SO2
Method: DFT, GGA-PBE
State: relaxed

a = 3.8678 Å, b = 3.8678 Å, c = 6.6500 Å
α = 90.00°, β = 90.00°, γ = 120.00°
Sites, in units of the cell vectors:
Pu: 0.3333 0.6667 0.2755
Pu: 0.6667 0.3333 0.7245
S: 0.0000 0.0000 0.0000
O: 0.3333 0.6667 0.6289
O: 0.6667 0.3333 0.3711

Output
Raw total energy in eV for the cell shown: -56.31

---

Record 11
Material: SiO2
Method: DFT, GGA-PBE
State: relaxed

a = 22.9282 Å, b = 22.9282 Å, c = 9.8337 Å
α = 90.00°, β = 90.00°, γ = 120.00°
Sites, in units of the cell vectors:
Si: 0.0745 0.4667 0.1541
Si: 0.0745 0.4667 0.8459
Si: 0.0745 0.6079 0.1541
Si: 0.0745 0.6079 0.8459
Si: 0.1977 0.5307 0.3376
Si: 0.1977 0.5307 0.6624
Si: 0.1977 0.6670 0.3376
Si: 0.1977 0.6670 0.6624
Si: 0.3330 0.5307 0.3376
Si: 0.3330 0.5307 0.6624
Si: 0.3330 0.8023 0.3376
Si: 0.3330 0.8023 0.6624
Si: 0.3921 0.4667 0.1541
Si: 0.3921 0.4667 0.8459
Si: 0.3921 0.9255 0.1541
Si: 0.3921 0.9255 0.8459
Si: 0.4667 0.0745 0.1541
Si: 0.4667 0.0745 0.8459
Si: 0.4667 0.3921 0.1541
Si: 0.4667 0.3921 0.8459
Si: 0.4693 0.6670 0.3376
Si: 0.4693 0.6670 0.6624
Si: 0.4693 0.8023 0.3376
Si: 0.4693 0.8023 0.6624
Si: 0.5307 0.1977 0.3376
Si: 0.5307 0.1977 0.6624
Si: 0.5307 0.3330 0.3376
Si: 0.5307 0.3330 0.6624
Si: 0.5333 0.6079 0.1541
Si: 0.5333 0.6079 0.8459
Si: 0.5333 0.9255 0.1541
Si: 0.5333 0.9255 0.8459
Si: 0.6079 0.0745 0.1541
Si: 0.6079 0.0745 0.8459
Si: 0.6079 0.5333 0.1541
Si: 0.6079 0.5333 0.8459
Si: 0.6670 0.1977 0.3376
Si: 0.6670 0.1977 0.6624
Si: 0.6670 0.4693 0.3376
Si: 0.6670 0.4693 0.6624
Si: 0.8023 0.3330 0.3376
Si: 0.8023 0.3330 0.6624
Si: 0.8023 0.4693 0.3376
Si: 0.8023 0.4693 0.6624
Si: 0.9255 0.3921 0.1541
Si: 0.9255 0.3921 0.8459
Si: 0.9255 0.5333 0.1541
Si: 0.9255 0.5333 0.8459
O: 0.0000 0.4046 0.1971
O: 0.0000 0.4046 0.8029
O: 0.0000 0.5954 0.1971
O: 0.0000 0.5954 0.8029
O: 0.0722 0.5361 0.1590
O: 0.0722 0.5361 0.8410
O: 0.0939 0.4552 0.0000
O: 0.0939 0.6387 0.0000
O: 0.1315 0.4722 0.2593
O: 0.1315 0.4722 0.7407
O: 0.1315 0.6593 0.2593
O: 0.1315 0.6593 0.7407
O: 0.1849 0.5180 0.5000
O: 0.1849 0.6670 0.5000
O: 0.2112 0.6056 0.2978
O: 0.2112 0.6056 0.7022
O: 0.2628 0.5255 0.2907
O: 0.2628 0.5255 0.7093
O: 0.2628 0.7372 0.2907
O: 0.2628 0.7372 0.7093
O: 0.3330 0.5180 0.5000
O: 0.3330 0.8151 0.5000
O: 0.3407 0.4722 0.2593
O: 0.3407 0.4722 0.7407
O: 0.3407 0.8685 0.2593
O: 0.3407 0.8685 0.7407
O: 0.3613 0.4552 0.0000
O: 0.3613 0.9061 0.0000
O: 0.3944 0.6056 0.2978
O: 0.3944 0.6056 0.7022
O: 0.3944 0.7888 0.2978
O: 0.3944 0.7888 0.7022
O: 0.4046 0.0000 0.1971
O: 0.4046 0.0000 0.8029
O: 0.4046 0.4046 0.1971
O: 0.4046 0.4046 0.8029
O: 0.4552 0.0939 0.0000
O: 0.4552 0.3613 0.0000
O: 0.4639 0.5361 0.1590
O: 0.4639 0.5361 0.8410
O: 0.4639 0.9278 0.1590
O: 0.4639 0.9278 0.8410
O: 0.4722 0.1315 0.2593
O: 0.4722 0.1315 0.7407
O: 0.4722 0.3407 0.2593
O: 0.4722 0.3407 0.7407
O: 0.4745 0.7372 0.2907
O: 0.4745 0.7372 0.7093
O: 0.4820 0.6670 0.5000
O: 0.4820 0.8151 0.5000
O: 0.5180 0.1849 0.5000
O: 0.5180 0.3330 0.5000
O: 0.5255 0.2628 0.2907
O: 0.5255 0.2628 0.7093
O: 0.5278 0.6593 0.2593
O: 0.5278 0.6593 0.7407
O: 0.5278 0.8685 0.2593
O: 0.5278 0.8685 0.7407
O: 0.5361 0.0722 0.1590
O: 0.5361 0.0722 0.8410
O: 0.5361 0.4639 0.1590
O: 0.5361 0.4639 0.8410
O: 0.5448 0.6387 0.0000
O: 0.5448 0.9061 0.0000
O: 0.5954 0.0000 0.1971
O: 0.5954 0.0000 0.8029
O: 0.5954 0.5954 0.1971
O: 0.5954 0.5954 0.8029
O: 0.6056 0.2112 0.2978
O: 0.6056 0.2112 0.7022
O: 0.6056 0.3944 0.2978
O: 0.6056 0.3944 0.7022
O: 0.6387 0.0939 0.0000
O: 0.6387 0.5448 0.0000
O: 0.6593 0.1315 0.2593
O: 0.6593 0.1315 0.7407
O: 0.6593 0.5278 0.2593
O: 0.6593 0.5278 0.7407
O: 0.6670 0.1849 0.5000
O: 0.6670 0.4820 0.5000
O: 0.7372 0.2628 0.2907
O: 0.7372 0.2628 0.7093
O: 0.7372 0.4745 0.2907
O: 0.7372 0.4745 0.7093
O: 0.7888 0.3944 0.2978
O: 0.7888 0.3944 0.7022
O: 0.8151 0.3330 0.5000
O: 0.8151 0.4820 0.5000
O: 0.8685 0.3407 0.2593
O: 0.8685 0.3407 0.7407
O: 0.8685 0.5278 0.2593
O: 0.8685 0.5278 0.7407
O: 0.9061 0.3613 0.0000
O: 0.9061 0.5448 0.0000
O: 0.9278 0.4639 0.1590
O: 0.9278 0.4639 0.8410

Output
Raw total energy in eV for the cell shown: -1135.40

---

Record 12
Material: Li2B7H7
Method: DFT, GGA-PBE
State: relaxed

a = 6.1078 Å, b = 6.1078 Å, c = 5.6699 Å
α = 111.32°, β = 111.32°, γ = 108.32°
Sites, in units of the cell vectors:
Li: 0.0000 0.0000 0.0000
Li: 0.5815 0.4185 0.0000
B: 0.4949 0.1377 0.2114
B: 0.5773 0.4227 0.5000
B: 0.5924 0.1482 0.5557
B: 0.7236 0.0489 0.3212
B: 0.8518 0.4076 0.4443
B: 0.8623 0.5051 0.7886
B: 0.9511 0.2764 0.6788
H: 0.1494 0.2870 0.8504
H: 0.3095 0.0071 0.9515
H: 0.4554 0.0151 0.6159
H: 0.4559 0.5441 0.5000
H: 0.7130 0.8506 0.1496
H: 0.9849 0.5446 0.3841
H: 0.9929 0.6905 0.0485

Output
Raw total energy in eV for the cell shown: -77.14